No. 1
Below is an optimized crystal structure of V3Cr3Si2, with properties calculated at the r2SCAN level.

Cell and atoms, written as extended XYZ:
```
8
Lattice="3.2327 1.8664 2.6421 -3.2327 1.8664 2.6421 0.0000 -3.7328 2.6421" Properties=species:S:1:pos:R:3 pbc="T T T"
V -2.4237 0.4651 2.6421
V 0.8091 -2.3315 2.6421
V 1.6146 1.8664 2.6421
Cr -0.8074 -1.3985 3.9631
Cr -0.8074 1.3985 3.9631
Cr 1.6148 0.0000 3.9631
Si 0.0000 0.0000 1.9881
Si 0.0000 0.0000 5.9380
```

Energy relative to the elements, eV/atom: -0.379
Crystal system: trigonal
Raw total energy, eV per atom: -13.51
Space group: R32

=====

No. 2
Below is an optimized crystal structure of TaCr2, with properties calculated at the r2SCAN level.

Cell and atoms, written as extended XYZ:
```
12
Lattice="4.8687 0.0000 0.0000 -2.4343 4.2164 0.0000 0.0000 0.0000 8.0059" Properties=species:S:1:pos:R:3 pbc="T T T"
Ta 0.0000 2.8109 0.4769
Ta 0.0000 2.8109 3.5260
Ta 2.4343 1.4055 4.4798
Ta 2.4343 1.4055 7.5290
Cr 0.0000 0.0000 0.0000
Cr 0.0000 0.0000 4.0029
Cr 0.0000 1.4324 6.0044
Cr -1.1939 3.5002 6.0044
Cr 1.2405 0.7162 2.0015
Cr 1.1939 3.5002 6.0044
Cr 3.6282 0.7162 2.0015
Cr 2.4343 2.7841 2.0015
```

Energy above the lowest structure with this stoichiometry, meV/atom: 15
Energy relative to the elements, eV/atom: 0.075
Crystal system: hexagonal
Raw total energy, eV per atom: -26.17
Space group: P6_3/mmc

=====

No. 3
Below is an optimized crystal structure of TaCr2, with properties calculated at the r2SCAN level.

Cell and atoms, written as extended XYZ:
```
6
Lattice="0.0000 3.4490 3.4490 3.4490 0.0000 3.4490 3.4490 3.4490 0.0000" Properties=species:S:1:pos:R:3 pbc="T T T"
Ta 0.8622 0.8622 0.8622
Ta 6.0357 6.0357 6.0357
Cr 3.4490 1.7245 1.7245
Cr 1.7245 3.4490 1.7245
Cr 1.7245 1.7245 3.4490
Cr 3.4490 3.4490 3.4490
```

Energy above the lowest structure with this stoichiometry, meV/atom: 0
Energy relative to the elements, eV/atom: 0.060
Crystal system: cubic
Raw total energy, eV per atom: -26.19
Space group: Fd-3m

=====

No. 4
Below is an optimized crystal structure of ZrTaCr4, with properties calculated at the r2SCAN level.

Cell and atoms, written as extended XYZ:
```
6
Lattice="0.0000 3.5016 3.5016 3.5016 0.0000 3.5016 3.5016 3.5016 0.0000" Properties=species:S:1:pos:R:3 pbc="T T T"
Zr 0.0000 0.0000 0.0000
Ta 1.7508 1.7508 1.7508
Cr 4.3751 2.6281 2.6281
Cr 2.6281 4.3751 2.6281
Cr 2.6281 2.6281 4.3751
Cr 4.3751 4.3751 4.3751
```

Energy relative to the elements, eV/atom: 0.117
Crystal system: cubic
Raw total energy, eV per atom: -21.82
Space group: F-43m

=====

No. 5
Below is an optimized crystal structure of CrTe3, with properties calculated at the r2SCAN level.

Cell and atoms, written as extended XYZ:
```
32
Lattice="8.2069 0.0000 0.0000 0.0000 11.5575 0.0000 -5.4617 0.0000 10.3338" Properties=species:S:1:pos:R:3 pbc="T T T"
Cr -0.9354 0.0028 1.7983
Cr -3.6663 5.7759 6.9652
Cr -2.6125 2.4942 5.2303
Cr 0.1184 3.2845 0.0634
Cr 2.6268 8.2730 10.2705
Cr 5.3577 9.0633 5.1036
Cr 3.6806 11.5547 8.5355
Cr 6.4114 5.7816 3.3686
Te 0.3952 7.1212 2.3931
Te -2.3357 10.2150 7.5600
Te -3.2506 7.1194 9.3246
Te -0.5198 10.2168 4.1576
Te -1.3928 6.8635 5.8632
Te 1.3381 10.4727 0.6963
Te -3.0236 2.0190 9.5987
Te 0.7632 2.0481 2.4441
Te -1.9676 3.7306 7.6111
Te -0.2928 3.7598 4.4318
Te -0.8407 0.5964 6.1759
Te 1.8901 5.1824 1.0090
Te 0.8550 6.3751 9.3249
Te 3.5859 10.9611 4.1579
Te 3.0379 7.7977 5.9021
Te 4.7128 7.8269 2.7228
Te 1.9819 9.5094 7.8897
Te 5.7688 9.5385 0.7351
Te 1.4071 1.0848 9.6376
Te 4.1380 4.6940 4.4706
Te 3.2649 1.3407 6.1762
Te 5.9958 4.4381 1.0093
Te 5.0808 1.3425 2.7738
Te 2.3500 4.4363 7.9408
```

Energy relative to the elements, eV/atom: -0.291
Crystal system: monoclinic
Raw total energy, eV per atom: -23.12
Space group: P2_1/c

=====

No. 6
Below is an optimized crystal structure of CrTe2, with properties calculated at the r2SCAN level.

Cell and atoms, written as extended XYZ:
```
24
Lattice="7.7265 0.0001 -0.0003 -3.8632 6.6915 0.0000 -0.0005 -0.0003 12.3991" Properties=species:S:1:pos:R:3 pbc="T T T"
Cr 5.7942 3.3455 3.1001
Cr 3.8630 0.0006 3.1003
Cr 7.7263 0.0000 3.0998
Cr 3.8628 6.6913 9.2988
Cr 1.9323 3.3452 3.1001
Cr 1.9317 3.3454 9.2986
Cr 3.8629 0.0003 9.2986
Cr 5.7940 3.3455 9.2985
Te -1.9318 5.5762 1.5634
Te -1.9321 5.5761 7.7631
Te -0.0001 4.4609 4.6358
Te -0.0003 4.4609 10.8345
Te -0.0003 2.2304 7.7630
Te 0.0000 2.2306 1.5635
Te 1.9314 5.5761 7.7629
Te 1.9314 5.5761 1.5629
Te 1.9312 1.1150 10.8354
Te 1.9317 1.1152 4.6375
Te 3.8631 4.4606 4.6374
Te 3.8628 4.4609 10.8352
Te 3.8626 2.2302 7.7611
Te 3.8632 2.2304 1.5619
Te 5.7944 1.1154 4.6374
Te 5.7945 1.1151 10.8351
```

Energy relative to the elements, eV/atom: -0.360
Raw total energy, eV per atom: -22.33

=====

No. 7
Below is an optimized crystal structure of TlCrTe2, with properties calculated at the r2SCAN level.

Cell and atoms, written as extended XYZ:
```
4
Lattice="4.1098 0.0000 0.0000 -2.0549 3.5592 0.0000 0.0000 0.0000 7.9489" Properties=species:S:1:pos:R:3 pbc="T T T"
Tl 0.0000 0.0000 0.0000
Cr 0.0000 0.0000 3.9744
Te 0.0000 2.3728 2.5174
Te 2.0549 1.1864 5.4315
```

Energy relative to the elements, eV/atom: -0.445
Crystal system: trigonal
Raw total energy, eV per atom: -30.22
Space group: P-3m1

=====

No. 8
Below is an optimized crystal structure of ZrTiCr4, with properties calculated at the r2SCAN level.

Cell and atoms, written as extended XYZ:
```
6
Lattice="0.0000 3.4876 3.4876 3.4876 0.0000 3.4876 3.4876 3.4876 0.0000" Properties=species:S:1:pos:R:3 pbc="T T T"
Zr 0.0000 0.0000 0.0000
Ti 1.7438 1.7438 1.7438
Cr 4.3581 2.6172 2.6172
Cr 2.6172 4.3581 2.6172
Cr 2.6172 2.6172 4.3581
Cr 4.3581 4.3581 4.3581
```

Energy relative to the elements, eV/atom: 0.141
Crystal system: cubic
Raw total energy, eV per atom: -15.86
Space group: F-43m

=====

No. 9
Below is an optimized crystal structure of VCr3, with properties calculated at the r2SCAN level.

Cell and atoms, written as extended XYZ:
```
4
Lattice="0.0000 2.8626 2.8626 2.8626 0.0000 2.8626 2.8626 2.8626 0.0000" Properties=species:S:1:pos:R:3 pbc="T T T"
V 0.0000 0.0000 0.0000
Cr 1.4313 1.4313 1.4313
Cr 2.8626 2.8626 2.8626
Cr 4.2940 4.2940 4.2940
```

Energy relative to the elements, eV/atom: 0.134
Crystal system: cubic
Raw total energy, eV per atom: -14.69
Space group: Fm-3m

=====

No. 10
Below is an optimized crystal structure of Cs7Cu6F19, with properties calculated at the r2SCAN level.

Cell and atoms, written as extended XYZ:
```
64
Lattice="11.4407 0.0000 0.0000 0.0000 6.2539 0.0000 -2.0359 0.0000 15.7204" Properties=species:S:1:pos:R:3 pbc="T T T"
Cs 0.0000 0.0000 0.0000
Cs -1.0179 3.1270 7.8602
Cs -0.3620 0.0638 11.1143
Cs 0.6559 3.0632 3.2541
Cs 3.0225 3.1373 6.8203
Cs 2.0045 6.2436 14.6805
Cs 3.7745 0.0528 10.2427
Cs 4.7925 3.0741 2.3825
Cs 4.6124 3.1798 13.3379
Cs 5.6303 6.2011 5.4777
Cs 7.4003 0.0103 1.0399
Cs 6.3824 3.1166 8.9001
Cs 8.7489 3.1907 12.4663
Cs 9.7668 6.1901 4.6061
Cu 0.9670 0.0194 7.6414
Cu -0.0510 3.1076 15.5016
Cu 0.9375 3.1517 12.9118
Cu 1.9555 6.2292 5.0516
Cu 1.7476 3.1594 10.2651
Cu 2.7655 6.2215 2.4049
Cu 6.6393 0.0324 13.3155
Cu 7.6573 3.0945 5.4553
Cu 7.4494 0.0248 10.6688
Cu 8.4673 3.1022 2.8086
Cu 9.4558 3.1463 0.2188
Cu 8.4379 6.2345 8.0791
F -1.0179 0.0000 7.8602
F 0.0000 3.1270 0.0000
F 0.9601 6.2522 3.0014
F -0.0578 3.1287 10.8616
F 0.7803 1.2039 6.1058
F -0.2376 1.9230 13.9660
F -0.1426 4.5415 13.5823
F 0.8754 4.8393 5.7221
F 2.2455 4.4450 1.0740
F 1.2276 4.9359 8.9342
F 2.4138 1.4001 1.1672
F 1.3959 1.7268 9.0274
F 3.0171 1.3824 4.3953
F 1.9992 1.7445 12.2555
F 2.0597 4.3732 11.8369
F 3.0776 5.0076 3.9767
F 1.8402 3.1561 15.0268
F 2.8581 6.2248 7.1666
F 3.5658 3.1909 9.8229
F 4.5838 6.1900 1.9627
F 4.8211 0.0639 13.7577
F 5.8390 3.0630 5.8975
F 6.5467 0.0291 8.5539
F 7.5647 3.0978 0.6936
F 6.3272 1.2463 11.7437
F 7.3452 1.8807 3.8835
F 7.4057 4.5094 3.4649
F 6.3877 4.8715 11.3251
F 8.0090 4.5271 6.6930
F 6.9910 4.8538 14.5532
F 8.1773 1.3181 6.7862
F 7.1593 1.8089 14.6464
F 8.5295 1.4146 9.9983
F 9.5474 1.7124 2.1381
F 9.6424 4.3309 1.7544
F 8.6245 5.0500 9.6146
F 8.4447 0.0018 12.7191
F 9.4627 3.1252 4.8588
```

Energy relative to the elements, eV/atom: -2.376
Crystal system: monoclinic
Raw total energy, eV per atom: -11.76
Space group: P2_1/c

=====

No. 11
Below is an optimized crystal structure of CsCu2F5, with properties calculated at the r2SCAN level.

Cell and atoms, written as extended XYZ:
```
32
Lattice="7.1151 0.0000 0.0000 0.0018 7.3565 0.0000 1.2445 0.0054 9.3566" Properties=species:S:1:pos:R:3 pbc="T T T"
Cs 2.1988 0.1961 3.5634
Cs 1.9820 3.8726 1.1145
Cs 6.3793 3.4894 8.2421
Cs 6.1626 7.1659 5.7932
Cu 0.0000 0.0000 0.0000
Cu 0.6231 3.6810 4.6783
Cu 2.6182 1.6950 7.1391
Cu 2.8084 5.3742 6.8958
Cu 3.5575 0.0000 0.0000
Cu 4.1807 3.6810 4.6783
Cu 5.5530 1.9877 2.4608
Cu 5.7431 5.6670 2.2175
F 1.1125 2.0590 6.1055
F 1.5624 1.8397 9.0890
F 1.1646 4.9730 6.0323
F 2.1220 7.1726 7.0891
F 1.7840 7.1494 0.6920
F 2.3994 3.4743 3.9857
F 3.3050 3.4948 6.9484
F 4.2620 1.2941 8.0009
F 3.8649 5.5152 4.9449
F 4.3158 5.7391 7.9294
F 4.0456 1.6229 1.4272
F 4.4965 1.8468 4.4117
F 4.0994 6.0679 1.3557
F 5.0563 3.8672 2.4082
F 5.9620 3.8876 5.3709
F 6.5773 0.2125 8.6646
F 6.2394 0.1894 2.2675
F 7.1967 2.3890 3.3243
F 6.7989 5.5222 0.2676
F 7.2489 5.3030 3.2511
```

Energy relative to the elements, eV/atom: -2.143
Crystal system: triclinic
Raw total energy, eV per atom: -9.95
Space group: P-1

=====

No. 12
Below is an optimized crystal structure of Cs2CuF4, with properties calculated at the r2SCAN level.

Cell and atoms, written as extended XYZ:
```
7
Lattice="-2.1597 2.1597 7.0632 2.1597 -2.1597 7.0632 2.1597 2.1597 -7.0632" Properties=species:S:1:pos:R:3 pbc="T T T"
Cs 0.0000 0.0000 2.0574
Cs 0.0000 0.0000 12.0691
Cu 0.0000 0.0000 7.0632
F 2.1597 0.0000 0.0000
F 0.0000 0.0000 5.1716
F 0.0000 2.1597 0.0000
F 0.0000 0.0000 8.9549
```

Energy relative to the elements, eV/atom: -2.500
Crystal system: tetragonal
Raw total energy, eV per atom: -13.01
Space group: I4/mmm